Entry from the Materials Project database: an optimized crystal structure of LiMn7O12 (GGA+U).

a b c (Å): 6.4347 6.4347 6.4347
angles (deg): 109.47 109.47 109.47
Last column: nearest neighbours and their distance in Å.
Element x y z (fractional)
Li 0.0000 0.0000 0.0000  12 O 2.68
Mn 0.0000 0.0000 0.5000  6 O 1.98
Mn 0.0000 0.5000 0.0000  6 O 1.98
Mn 0.0000 0.5000 0.5000  4 O 1.95
Mn 0.5000 0.0000 0.0000  6 O 1.98
Mn 0.5000 0.0000 0.5000  4 O 1.95
Mn 0.5000 0.5000 0.0000  4 O 1.95
Mn 0.5000 0.5000 0.5000  6 O 1.98
O 0.1287 0.8177 0.3110  3 Mn 1.95-1.98
O 0.1823 0.3110 0.4933  3 Mn 1.95-1.98
O 0.1823 0.6890 0.8713  3 Mn 1.95-1.98
O 0.3110 0.1287 0.8177  3 Mn 1.95-1.98
O 0.3110 0.4933 0.1823  3 Mn 1.95-1.98
O 0.4933 0.1823 0.3110  3 Mn 1.95-1.98
O 0.5067 0.8177 0.6890  3 Mn 1.95-1.98
O 0.6890 0.5067 0.8177  3 Mn 1.95-1.98
O 0.6890 0.8713 0.1823  3 Mn 1.95-1.98
O 0.8177 0.3110 0.1287  3 Mn 1.95-1.98
O 0.8177 0.6890 0.5067  3 Mn 1.95-1.98
O 0.8713 0.1823 0.6890  3 Mn 1.95-1.98

Summary:
Mass density, Mg/m³: 4.72
Polymorph energy (0 for the lowest one), eV per atom: 0.011
Energy of formation, eV/atom: -1.941